No. 1
# NdHO2

A relaxed NdHO2 crystal (meta-GGA r2SCAN, the Materials Project database).

Results
For the total magnetic moment, the calculation gives 0.0 μB per formula unit. Its final energy is -13.972 eV per atom. For the formation energy, the calculation gives -2.77 eV per atom.

Unit cell a=4.374 b=3.833 c=6.251 alpha=90.00 beta=107.61 gamma=90.00
Positions (direct):
Nd 0.169 0.000 0.308
Nd 0.831 0.500 0.692
H 0.466 0.584 0.050
H 0.534 0.084 0.950
O 0.260 0.498 0.538
O 0.264 0.487 0.055
O 0.736 0.987 0.945
O 0.740 0.998 0.462

=====

No. 2
# NdHSO5

A relaxed NdHSO5 crystal (meta-GGA r2SCAN, the Materials Project database).

Results
For the total magnetic moment, the calculation gives 0.0 μB per formula unit. Its final energy is -11.144 eV per atom. For the formation energy, the calculation gives -2.30 eV per atom.

Unit cell a=4.480 b=12.446 c=7.032 alpha=90.00 beta=111.36 gamma=90.00
Positions (direct):
Nd 0.164 0.064 0.302
Nd 0.164 0.436 0.802
Nd 0.836 0.564 0.198
Nd 0.836 0.936 0.698
H 0.210 0.656 0.975
H 0.210 0.844 0.475
H 0.790 0.156 0.525
H 0.790 0.344 0.025
S 0.406 0.146 0.887
S 0.406 0.354 0.387
S 0.594 0.646 0.613
S 0.594 0.854 0.113
O 0.200 0.069 0.950
O 0.200 0.431 0.450
O 0.228 0.245 0.820
O 0.228 0.255 0.320
O 0.236 0.586 0.041
O 0.236 0.914 0.541
O 0.300 0.666 0.439
O 0.300 0.834 0.939
O 0.472 0.096 0.716
O 0.472 0.404 0.216
O 0.528 0.596 0.784
O 0.528 0.904 0.284
O 0.700 0.166 0.061
O 0.700 0.334 0.561
O 0.764 0.086 0.459
O 0.764 0.414 0.959
O 0.772 0.745 0.680
O 0.772 0.755 0.180
O 0.800 0.569 0.550
O 0.800 0.931 0.050

=====

No. 3
# NiH2SeO5

A relaxed NiH2SeO5 crystal (meta-GGA r2SCAN, the Materials Project database).

Results
For the total magnetic moment, the calculation gives 2.0 μB per formula unit. Its final energy is -7.980 eV per atom. For the formation energy, the calculation gives -0.97 eV per atom.

Unit cell a=6.879 b=8.038 c=7.505 alpha=90.00 beta=117.38 gamma=90.00
Positions (direct):
Ni 0.000 0.500 0.000
Ni 0.000 0.000 0.500
Ni 0.500 0.000 0.000
Ni 0.500 0.500 0.500
H 0.331 0.697 0.200
H 0.831 0.197 0.200
H 0.669 0.197 0.300
H 0.169 0.697 0.300
H 0.669 0.303 0.800
H 0.169 0.803 0.800
H 0.331 0.803 0.700
H 0.831 0.303 0.700
Se 0.750 0.834 0.750
Se 0.250 0.334 0.750
Se 0.250 0.166 0.250
Se 0.750 0.666 0.250
O 0.250 0.877 0.750
O 0.750 0.377 0.750
O 0.750 0.123 0.250
O 0.250 0.623 0.250
O 0.758 0.948 0.571
O 0.258 0.448 0.571
O 0.742 0.948 0.929
O 0.242 0.448 0.929
O 0.242 0.052 0.429
O 0.742 0.552 0.429
O 0.258 0.052 0.071
O 0.758 0.552 0.071
O 0.474 0.215 0.848
O 0.974 0.715 0.848
O 0.526 0.715 0.652
O 0.026 0.215 0.652
O 0.526 0.785 0.152
O 0.026 0.285 0.152
O 0.474 0.285 0.348
O 0.974 0.785 0.348

=====

No. 4
# YbNiH3

A relaxed YbNiH3 crystal (meta-GGA r2SCAN, the Materials Project database).

Results
For the total magnetic moment, the calculation gives 0.0 μB per formula unit. Its final energy is -12.257 eV per atom. For the formation energy, the calculation gives -0.48 eV per atom.

Unit cell a=3.446 b=3.446 c=3.446 alpha=90.00 beta=90.00 gamma=90.00
Positions (direct):
Yb 0.000 0.000 0.000
Ni 0.500 0.500 0.500
H 0.000 0.500 0.500
H 0.500 0.000 0.500
H 0.500 0.500 0.000

=====

No. 5
# ZrNiH3

A relaxed ZrNiH3 crystal (meta-GGA r2SCAN, the Materials Project database).

Results
For the total magnetic moment, the calculation gives 0.0 μB per formula unit. Its final energy is -9.507 eV per atom. For the formation energy, the calculation gives -0.49 eV per atom.

Unit cell a=5.520 b=5.520 c=4.293 alpha=90.00 beta=90.00 gamma=142.94
Positions (direct):
Zr 0.138 0.862 0.750
Zr 0.862 0.138 0.250
Ni 0.431 0.569 0.750
Ni 0.569 0.431 0.250
H 0.069 0.931 0.250
H 0.313 0.687 0.001
H 0.313 0.687 0.499
H 0.687 0.313 0.501
H 0.687 0.313 0.999
H 0.931 0.069 0.750

=====

No. 6
# RbZn2P2HO8

A relaxed RbZn2P2HO8 crystal (meta-GGA r2SCAN, the Materials Project database).

Results
For the total magnetic moment, the calculation gives 0.0 μB per formula unit. Its final energy is -9.375 eV per atom. For the formation energy, the calculation gives -2.16 eV per atom.

Unit cell a=5.236 b=8.872 c=9.718 alpha=75.36 beta=77.46 gamma=73.53
Positions (direct):
Rb 0.209 0.204 0.323
Rb 0.791 0.796 0.677
Zn 0.111 0.117 0.772
Zn 0.306 0.388 0.890
Zn 0.694 0.612 0.110
Zn 0.889 0.883 0.228
P 0.169 0.745 0.950
P 0.393 0.745 0.389
P 0.607 0.255 0.611
P 0.831 0.255 0.050
H 0.443 0.574 0.600
H 0.557 0.426 0.400
O 0.027 0.267 0.903
O 0.069 0.905 0.851
O 0.091 0.796 0.388
O 0.144 0.612 0.883
O 0.435 0.690 0.552
O 0.455 0.726 0.974
O 0.468 0.398 0.685
O 0.479 0.114 0.676
O 0.521 0.886 0.324
O 0.532 0.602 0.315
O 0.545 0.274 0.026
O 0.565 0.310 0.448
O 0.856 0.388 0.117
O 0.909 0.204 0.612
O 0.931 0.095 0.149
O 0.973 0.733 0.097

=====

No. 7
# TbP4HO12

A relaxed TbP4HO12 crystal (meta-GGA r2SCAN, the Materials Project database).

Results
For the total magnetic moment, the calculation gives 0.0 μB per formula unit. Its final energy is -10.446 eV per atom. For the formation energy, the calculation gives -2.54 eV per atom.

Unit cell a=13.655 b=7.127 c=9.653 alpha=90.00 beta=101.44 gamma=90.00
Positions (direct):
Tb 0.230 0.059 0.060
Tb 0.230 0.441 0.560
Tb 0.770 0.559 0.440
Tb 0.770 0.941 0.940
P 0.094 0.102 0.711
P 0.094 0.398 0.211
P 0.112 0.712 0.794
P 0.112 0.788 0.294
P 0.400 0.149 0.811
P 0.400 0.351 0.311
P 0.401 0.680 0.127
P 0.401 0.820 0.627
P 0.599 0.180 0.373
P 0.599 0.320 0.873
P 0.600 0.649 0.689
P 0.600 0.851 0.189
P 0.888 0.212 0.706
P 0.888 0.288 0.206
P 0.906 0.602 0.789
P 0.906 0.898 0.289
H 0.289 0.640 0.945
H 0.289 0.860 0.445
H 0.711 0.140 0.555
H 0.711 0.360 0.055
O 0.015 0.675 0.857
O 0.015 0.825 0.357
O 0.081 0.619 0.187
O 0.081 0.881 0.687
O 0.116 0.141 0.865
O 0.116 0.359 0.365
O 0.134 0.549 0.709
O 0.134 0.951 0.209
O 0.162 0.169 0.620
O 0.162 0.331 0.120
O 0.192 0.728 0.416
O 0.192 0.772 0.916
O 0.334 0.684 0.676
O 0.334 0.816 0.176
O 0.339 0.078 0.910
O 0.339 0.422 0.410
O 0.354 0.577 0.989
O 0.354 0.923 0.489
O 0.359 0.213 0.200
O 0.359 0.287 0.700
O 0.444 0.527 0.239
O 0.444 0.973 0.739
O 0.499 0.728 0.596
O 0.499 0.772 0.096
O 0.501 0.228 0.904
O 0.501 0.272 0.404
O 0.556 0.027 0.261
O 0.556 0.473 0.761
O 0.641 0.713 0.300
O 0.641 0.787 0.800
O 0.646 0.077 0.511
O 0.646 0.423 0.011
O 0.661 0.578 0.590
O 0.661 0.922 0.090
O 0.666 0.184 0.824
O 0.666 0.316 0.324
O 0.808 0.228 0.084
O 0.808 0.272 0.584
O 0.838 0.669 0.880
O 0.838 0.831 0.380
O 0.866 0.049 0.791
O 0.866 0.451 0.291
O 0.884 0.641 0.635
O 0.884 0.859 0.135
O 0.919 0.119 0.313
O 0.919 0.381 0.813
O 0.985 0.175 0.643
O 0.985 0.325 0.143

=====

No. 8
# TiP2H4O9

A relaxed TiP2H4O9 crystal (meta-GGA r2SCAN, the Materials Project database).

Results
For the total magnetic moment, the calculation gives 0.0 μB per formula unit. Its final energy is -8.259 eV per atom. For the formation energy, the calculation gives -2.10 eV per atom.

Unit cell a=8.601 b=4.973 c=16.078 alpha=90.00 beta=110.13 gamma=90.00
Positions (direct):
Ti 0.241 0.247 0.488
Ti 0.241 0.253 0.988
Ti 0.759 0.747 0.012
Ti 0.759 0.753 0.512
P 0.002 0.747 0.391
P 0.002 0.753 0.891
P 0.467 0.741 0.600
P 0.467 0.759 0.100
P 0.533 0.241 0.900
P 0.533 0.259 0.400
P 0.998 0.247 0.109
P 0.998 0.253 0.609
H 0.156 0.069 0.234
H 0.156 0.431 0.734
H 0.197 0.610 0.253
H 0.197 0.890 0.753
H 0.306 0.703 0.829
H 0.306 0.797 0.329
H 0.415 0.735 0.725
H 0.415 0.765 0.225
H 0.585 0.235 0.775
H 0.585 0.265 0.275
H 0.694 0.203 0.671
H 0.694 0.297 0.171
H 0.803 0.110 0.247
H 0.803 0.390 0.747
H 0.844 0.569 0.266
H 0.844 0.931 0.766
O 0.058 0.037 0.409
O 0.058 0.463 0.909
O 0.095 0.241 0.212
O 0.095 0.259 0.712
O 0.116 0.161 0.062
O 0.116 0.339 0.562
O 0.150 0.557 0.413
O 0.150 0.943 0.913
O 0.260 0.722 0.765
O 0.260 0.778 0.265
O 0.321 0.572 0.057
O 0.321 0.928 0.557
O 0.376 0.160 0.414
O 0.376 0.340 0.914
O 0.425 0.045 0.065
O 0.425 0.455 0.565
O 0.491 0.245 0.798
O 0.491 0.255 0.298
O 0.509 0.745 0.702
O 0.509 0.755 0.202
O 0.575 0.545 0.435
O 0.575 0.955 0.935
O 0.624 0.660 0.086
O 0.624 0.840 0.586
O 0.679 0.072 0.443
O 0.679 0.428 0.943
O 0.740 0.222 0.735
O 0.740 0.278 0.235
O 0.850 0.057 0.087
O 0.850 0.443 0.587
O 0.884 0.661 0.438
O 0.884 0.839 0.938
O 0.905 0.741 0.288
O 0.905 0.759 0.788
O 0.942 0.537 0.091
O 0.942 0.963 0.591